Here is Li2V3O8 after structural relaxation from the Materials Project database. Energies are from GGA+U.

```
Li2V3O8
1.0
-5.2626 4.9513 4.0625
-4.9571 0.1806 -6.6415
-4.0555 -6.6458 2.8462
Li V O
8 12 32
direct
0.9954 0.9954 0.9954 Li
0.0046 0.4954 0.5046 Li
0.2546 0.2546 0.2546 Li
0.2454 0.7454 0.7546 Li
0.5046 0.0046 0.4954 Li
0.4954 0.5046 0.0046 Li
0.7546 0.2454 0.7454 Li
0.7454 0.7546 0.2454 Li
0.1332 0.1168 0.6250 V
0.1168 0.6250 0.1332 V
0.1250 0.3668 0.8832 V
0.3832 0.3750 0.6332 V
0.3750 0.6332 0.3832 V
0.3668 0.8832 0.1250 V
0.6250 0.1332 0.1168 V
0.6332 0.3832 0.3750 V
0.6168 0.8750 0.8668 V
0.8832 0.1250 0.3668 V
0.8668 0.6168 0.8750 V
0.8750 0.8668 0.6168 V
0.1411 0.3936 0.0963 O
0.0963 0.1411 0.3936 O
0.1390 0.3610 0.6390 O
0.1537 0.8564 0.1089 O
0.1089 0.1537 0.8564 O
0.1436 0.6089 0.3463 O
0.1064 0.9037 0.6411 O
0.1110 0.6110 0.8890 O
0.3936 0.0963 0.1411 O
0.3890 0.3890 0.3890 O
0.3463 0.1436 0.6089 O
0.3564 0.3911 0.8463 O
0.3610 0.6390 0.1390 O
0.3911 0.8463 0.3564 O
0.3589 0.6064 0.5963 O
0.4037 0.8589 0.8936 O
0.6390 0.1390 0.3610 O
0.6089 0.3463 0.1436 O
0.5963 0.3589 0.6064 O
0.6064 0.5963 0.3589 O
0.6411 0.1064 0.9037 O
0.6537 0.6436 0.8911 O
0.6110 0.8890 0.1110 O
0.6436 0.8911 0.6537 O
0.8564 0.1089 0.1537 O
0.8890 0.1110 0.6110 O
0.8463 0.3564 0.3911 O
0.9037 0.6411 0.1064 O
0.8911 0.6537 0.6436 O
0.8936 0.4037 0.8589 O
0.8589 0.8936 0.4037 O
0.8610 0.8610 0.8610 O
```

Values from the calculation:
The calculation puts the formation energy at -2.36 eV per atom. As for the theoretical density: 3.44 g cm⁻³. The magnetic moment comes out at 4.0 μB per cell. The space group is P4_332 (212). The value obtained for the excess energy over the best structure of this formula in the dataset is 47 meV per atom.

=====

Here is Li5V4O8 after structural relaxation from the Materials Project database. Energies are from GGA+U.

```
Li5V4O8
1.0
3.0819 -4.6117 -2.2579
-2.7027 -3.9120 -3.6408
1.3791 -0.1140 -5.8265
Li V O
5 4 8
direct
0.1457 0.1457 0.1457 Li
0.1457 0.5629 0.1457 Li
0.1457 0.1457 0.5629 Li
0.0000 0.0000 0.0000 Li
0.5629 0.1457 0.1457 Li
0.6252 0.6252 0.1244 V
0.6252 0.6252 0.6252 V
0.1244 0.6252 0.6252 V
0.6252 0.1244 0.6252 V
0.3797 0.3797 0.3797 O
0.8609 0.3797 0.3797 O
0.3797 0.8609 0.3797 O
0.3797 0.3797 0.8609 O
0.8707 0.3878 0.8707 O
0.8707 0.8707 0.3878 O
0.3878 0.8707 0.8707 O
0.8707 0.8707 0.8707 O
```

Values from the calculation:
The calculation puts the formation energy at -2.30 eV per atom. As for the theoretical density: 4.01 g cm⁻³. The magnetic moment comes out at 9.0 μB per cell. The space group is F-43m (216). The value obtained for the excess energy over the best structure of this formula in the dataset is 43 meV per atom.

=====

Here is Li3V2O6 after structural relaxation from the Materials Project database. Energies are from GGA+U.

```
Li3V2O6
1.0
-4.9058 -0.2934 0.8395
2.0674 -3.1555 -3.4191
1.9227 -1.9837 4.3625
Li V O
3 2 6
direct
0.0042 0.4952 0.9977 Li
0.6520 0.8494 0.9976 Li
0.3547 0.1522 0.0056 Li
0.8331 0.6704 0.4893 V
0.1675 0.3185 0.5103 V
0.8086 0.2935 0.2598 O
0.2023 0.6992 0.7339 O
0.9652 0.0941 0.7265 O
0.4268 0.5436 0.2726 O
0.5749 0.4543 0.7302 O
0.0585 0.9337 0.2736 O
```

Values from the calculation:
The calculation puts the formation energy at -2.41 eV per atom. As for the theoretical density: 3.39 g cm⁻³. The magnetic moment comes out at 1.0 μB per cell. The space group is P1 (1). As for the piezoelectric modulus e_max: 1.90 C/m². The value obtained for the excess energy over the best structure of this formula in the dataset is 0 meV per atom.

=====

Here is Li3V3O8 after structural relaxation from the Materials Project database. Energies are from GGA+U.

```
Li3V3O8
1.0
0.0000 -3.4185 4.8345
2.9767 -1.6858 -4.8179
5.9537 6.7903 4.8015
Li V O
6 6 16
direct
0.4359 0.8717 0.3141 Li
0.9359 0.8717 0.8141 Li
0.0024 0.5030 0.9985 Li
0.5024 0.5030 0.4985 Li
0.5006 0.5030 0.9985 Li
0.0006 0.5030 0.4985 Li
0.5624 0.1249 0.6876 V
0.4799 0.9599 0.0036 V
0.9800 0.9599 0.5036 V
0.0624 0.1248 0.1875 V
0.2465 0.4929 0.7701 V
0.7464 0.4929 0.2701 V
0.1179 0.2359 0.3653 O
0.6180 0.2359 0.8653 O
0.3847 0.7694 0.6321 O
0.8847 0.7693 0.1321 O
0.3691 0.2484 0.6258 O
0.8691 0.2484 0.1258 O
0.8793 0.2484 0.6258 O
0.3793 0.2484 0.1258 O
0.1382 0.2763 0.8665 O
0.6381 0.2763 0.3665 O
0.3835 0.7669 0.1118 O
0.8835 0.7669 0.6118 O
0.5939 0.7496 0.8752 O
0.0939 0.7497 0.3752 O
0.1557 0.7496 0.8752 O
0.6557 0.7497 0.3752 O
```

Values from the calculation:
The calculation puts the formation energy at -2.42 eV per atom. As for the theoretical density: 3.42 g cm⁻³. The magnetic moment comes out at 0.0 μB per cell.

=====

Here is Li3VO4 after structural relaxation from the Materials Project database. Energies are from GGA+U.

```
Li3VO4
1.0
5.1756 0.0000 0.0000
0.0000 6.4094 0.0000
0.0000 0.0000 11.0148
Li V O
12 4 16
direct
0.1912 0.9963 0.6658 Li
0.8088 0.4963 0.3342 Li
0.3088 0.9963 0.1658 Li
0.8088 0.0037 0.3342 Li
0.3063 0.7500 0.9218 Li
0.1937 0.7500 0.4218 Li
0.6912 0.0037 0.8342 Li
0.8063 0.2500 0.5782 Li
0.6912 0.4963 0.8342 Li
0.1912 0.5037 0.6658 Li
0.3088 0.5037 0.1658 Li
0.6937 0.2500 0.0782 Li
0.1868 0.2500 0.9132 V
0.8132 0.7500 0.0868 V
0.6868 0.7500 0.5868 V
0.3132 0.2500 0.4132 V
0.7018 0.7500 0.9378 O
0.3484 0.7500 0.5867 O
0.2030 0.4726 0.3376 O
0.2030 0.0274 0.3376 O
0.2018 0.2500 0.5622 O
0.7030 0.5274 0.1624 O
0.7970 0.9726 0.6624 O
0.7030 0.9726 0.1624 O
0.2982 0.2500 0.0622 O
0.7982 0.7500 0.4378 O
0.2970 0.0274 0.8376 O
0.7970 0.5274 0.6624 O
0.6516 0.2500 0.4133 O
0.1516 0.7500 0.0867 O
0.8484 0.2500 0.9133 O
0.2970 0.4726 0.8376 O
```

Values from the calculation:
The calculation puts the formation energy at -2.50 eV per atom. As for the theoretical density: 2.47 g cm⁻³. The space group is Pnma (62).

=====

Here is Li3V8O11 after structural relaxation from the Materials Project database. Energies are from GGA+U.

```
Li3V8O11
1.0
8.5079 -6.4455 -2.1021
-0.0066 0.0111 4.1444
-2.0044 -4.1203 2.0645
Li V O
3 8 11
direct
0.0955 0.3611 0.3692 Li
0.3609 0.4532 0.4497 Li
0.7301 0.9080 0.9111 Li
0.9909 0.9816 0.0120 V
0.1863 0.7368 0.7085 V
0.2729 0.0799 0.1123 V
0.4671 0.8194 0.8238 V
0.6229 0.5218 0.5836 V
0.5442 0.1963 0.1401 V
0.9136 0.6344 0.6405 V
0.8294 0.2926 0.2569 V
0.0937 0.8659 0.3572 O
0.1790 0.2112 0.7518 O
0.0122 0.4991 0.0010 O
0.4398 0.3121 0.8067 O
0.3700 0.9524 0.4574 O
0.2781 0.6028 0.0704 O
0.6429 0.0621 0.5208 O
0.7283 0.4071 0.9101 O
0.5502 0.6731 0.1941 O
0.9105 0.1362 0.6332 O
0.8089 0.7633 0.2899 O
```

Values from the calculation:
The calculation puts the formation energy at -2.12 eV per atom. As for the theoretical density: 5.05 g cm⁻³. The magnetic moment comes out at 21.0 μB per cell. The space group is P1 (1). The value obtained for the excess energy over the best structure of this formula in the dataset is 125 meV per atom.

=====

Here is LiV2O5 after structural relaxation from the Materials Project database. Energies are from GGA+U.

```
LiV2O5
1.0
-0.2030 -3.4912 0.9436
4.6981 -0.1361 0.5075
-1.1026 3.0434 11.0238
Li O V
2 10 4
direct
0.2500 0.7152 0.7500 Li
0.7500 0.2848 0.2500 Li
0.7500 0.4514 0.8811 O
0.2500 0.0319 0.2500 O
0.2500 0.5486 0.1189 O
0.7500 0.9681 0.7500 O
0.2500 0.5486 0.3811 O
0.7500 0.4514 0.6189 O
0.7500 0.0244 0.0728 O
0.7500 0.0244 0.4272 O
0.2500 0.9756 0.9272 O
0.2500 0.9756 0.5728 O
0.7500 0.1075 0.9007 V
0.2500 0.8925 0.0993 V
0.7500 0.1075 0.5993 V
0.2500 0.8925 0.4007 V
```

Values from the calculation:
The calculation puts the formation energy at -2.37 eV per atom. As for the theoretical density: 3.19 g cm⁻³. The magnetic moment comes out at 2.0 μB per cell. The space group is Pmmn (59). The value obtained for the excess energy over the best structure of this formula in the dataset is 86 meV per atom.

=====

Here is LiV18O44 after structural relaxation from the Materials Project database. Energies are from GGA+U.

```
LiV18O44
1.0
-2.3948 -2.7749 -0.0879
7.7525 -6.7132 0.7098
2.3086 -2.6779 21.6314
Li V O
1 18 44
direct
0.0000 0.4658 0.5104 Li
0.5000 0.5946 0.0261 V
0.0000 0.1356 0.0933 V
0.5000 0.9089 0.0591 V
0.5000 0.1528 0.2867 V
0.0000 0.9296 0.2516 V
0.5000 0.4741 0.3119 V
0.0000 0.6674 0.3626 V
0.5000 0.2137 0.4316 V
0.0000 0.9819 0.4072 V
0.5000 0.0171 0.5928 V
0.0000 0.7845 0.5682 V
0.5000 0.3337 0.6361 V
0.0000 0.5271 0.6879 V
0.5000 0.0705 0.7488 V
0.0000 0.8484 0.7133 V
0.0000 0.0905 0.9408 V
0.5000 0.8640 0.9069 V
0.0000 0.4052 0.9739 V
0.0000 0.5761 0.0032 O
0.5000 0.7816 0.0069 O
0.5000 0.0915 0.0809 O
0.0000 0.2870 0.1026 O
0.0000 0.9558 0.0444 O
0.5000 0.5556 0.1006 O
0.0000 0.0302 0.1726 O
0.5000 0.8113 0.1272 O
0.5000 0.2440 0.2171 O
0.5000 0.5087 0.2374 O
0.0000 0.1051 0.3031 O
0.0000 0.7757 0.2444 O
0.5000 0.2866 0.3337 O
0.5000 0.9704 0.2656 O
0.0000 0.4943 0.3330 O
0.5000 0.0240 0.3906 O
0.5000 0.6452 0.3403 O
0.0000 0.8457 0.3523 O
0.0000 0.1606 0.4266 O
0.5000 0.3694 0.4401 O
0.0000 0.6143 0.4383 O
0.5000 0.1214 0.5206 O
0.0000 0.8784 0.4794 O
0.5000 0.3904 0.5596 O
0.0000 0.6276 0.5607 O
0.5000 0.8391 0.5734 O
0.5000 0.1568 0.6461 O
0.0000 0.3554 0.6578 O
0.0000 0.9753 0.6094 O
0.5000 0.5044 0.6672 O
0.0000 0.0298 0.7341 O
0.0000 0.7132 0.6664 O
0.5000 0.2246 0.7553 O
0.5000 0.8954 0.6967 O
0.0000 0.4915 0.7625 O
0.0000 0.7561 0.7828 O
0.0000 0.1888 0.8727 O
0.5000 0.9704 0.8273 O
0.0000 0.4445 0.8993 O
0.5000 0.0443 0.9557 O
0.5000 0.7129 0.8974 O
0.0000 0.9090 0.9189 O
0.0000 0.2183 0.9933 O
0.5000 0.4240 0.9969 O
```

Values from the calculation:
The calculation puts the formation energy at -2.29 eV per atom. As for the theoretical density: 3.36 g cm⁻³. The magnetic moment comes out at 3.0 μB per cell. The space group is Pm (6).

=====

The lowest theoretical density belongs to which entry?
Li3VO4

=====

Which value of theoretical density does entry 8 give?
3.36 g cm⁻³